1.
! Fe5O2F8 | the Materials Project database | GGA+U | relaxed; values from VASP
! Relative energy among the computed polymorphs: 0 meV per atom
! Formation enthalpy at 0 K: -2.332 eV per atom
! Total DFT energy (no corrections): -5.746 eV/atom
! Size of the total moment: 22.00 μB/f.u.
! Theoretical density: 4.167 g/cm3
&SYSTEM
  ibrav = 0, nat = 30, ntyp = 3
/
ATOMIC_SPECIES
F 19.00 F.upf
O 16.00 O.upf
Fe 55.84 Fe.upf
CELL_PARAMETERS angstrom
4.8016 0.0000 0.0000
0.0736 5.7800 0.0000
0.1503 2.6079 13.3028
ATOMIC_POSITIONS crystal
F 0.2841 0.2092 0.7481
F 0.3047 0.8060 0.9483
F 0.8078 0.8970 0.4533
F 0.2142 0.9233 0.1388
F 0.1940 0.7066 0.7484
F 0.7017 0.1774 0.0640
F 0.1944 0.1321 0.5343
F 0.3063 0.6300 0.5358
F 0.8006 0.0853 0.8585
F 0.7974 0.2749 0.2657
F 0.2039 0.3200 0.9365
F 0.6873 0.9761 0.6574
F 0.1891 0.5118 0.3445
F 0.7026 0.8013 0.2492
F 0.7126 0.3810 0.4530
F 0.7951 0.6814 0.0591
O 0.2957 0.0349 0.3337
O 0.3185 0.4131 0.1334
O 0.7011 0.5641 0.8736
O 0.8064 0.4734 0.6678
Fe 0.0021 0.0018 0.9988
Fe 0.4666 0.1217 0.2040
Fe 0.5119 0.3140 0.6071
Fe 0.0176 0.5914 0.1938
Fe 0.4971 0.7156 0.3942
Fe 0.0219 0.1912 0.3991
Fe 0.9591 0.4103 0.7952
Fe 0.5121 0.8788 0.8025
Fe 0.5054 0.4937 0.9983
Fe 0.9887 0.7826 0.6034

***

2.
! Fe5O3F7 | the Materials Project database | GGA+U | relaxed; values from VASP
! Relative energy among the computed polymorphs: 10 meV per atom
! Formation enthalpy at 0 K: -2.220 eV per atom
! Total DFT energy (no corrections): -5.821 eV/atom
! Size of the total moment: 23.00 μB/f.u.
! Theoretical density: 4.220 g/cm3
&SYSTEM
  ibrav = 0, nat = 30, ntyp = 3
/
ATOMIC_SPECIES
O 16.00 O.upf
Fe 55.84 Fe.upf
F 19.00 F.upf
CELL_PARAMETERS angstrom
-4.4264 1.8519 0.1144
-1.8450 -4.0129 -1.8978
-2.1163 -5.8600 14.4126
ATOMIC_POSITIONS crystal
O 0.6993 0.2972 0.0012
O 0.3081 0.6889 0.9974
O 0.3288 0.6655 0.5976
O 0.7977 0.8116 0.3047
O 0.6723 0.3264 0.7983
O 0.6848 0.3184 0.4033
Fe 0.5144 0.4842 0.9062
Fe 0.4963 0.5012 0.7054
Fe 0.5384 0.5190 0.3046
Fe 0.9996 0.9885 0.2024
Fe 0.4971 0.4985 0.0854
Fe 0.0052 0.9935 0.0002
Fe 0.9696 0.0286 0.8013
Fe 0.9585 0.0201 0.3933
Fe 0.4984 0.4908 0.5030
Fe 0.0326 0.9651 0.6001
F 0.2014 0.2189 0.3054
F 0.2959 0.7090 0.4009
F 0.1955 0.1927 0.4913
F 0.3178 0.6852 0.2029
F 0.8005 0.8008 0.4932
F 0.7890 0.7930 0.8979
F 0.7923 0.7841 0.1060
F 0.7916 0.7924 0.6976
F 0.2104 0.2045 0.1082
F 0.2055 0.2094 0.8978
F 0.2861 0.7120 0.7961
F 0.2058 0.2049 0.6974
F 0.7115 0.2836 0.5972
F 0.6956 0.3120 0.2038

***

3.
! Fe5O8F2 | the Materials Project database | GGA+U | relaxed; values from VASP
! Relative energy among the computed polymorphs: 12 meV per atom
! Formation enthalpy at 0 K: -1.571 eV per atom
! Total DFT energy (no corrections): -6.108 eV/atom
! Size of the total moment: 22.04 μB/f.u.
! Theoretical density: 4.529 g/cm3
&SYSTEM
  ibrav = 0, nat = 30, ntyp = 3
/
ATOMIC_SPECIES
Fe 55.84 Fe.upf
O 16.00 O.upf
F 19.00 F.upf
CELL_PARAMETERS angstrom
-1.0007 -3.8380 -2.4323
4.1750 1.2419 -3.4398
5.9527 -7.0867 9.0353
ATOMIC_POSITIONS crystal
Fe 0.0002 0.8067 0.1954
Fe 0.5262 0.2894 0.1993
Fe 0.4898 0.4901 0.0021
Fe 0.9825 0.2048 0.8077
Fe 0.9738 0.4152 0.6061
Fe 0.4811 0.6956 0.7944
Fe 0.0176 0.0098 0.0020
Fe 0.9853 0.6159 0.4025
Fe 0.5151 0.0879 0.3963
Fe 0.5110 0.8911 0.5967
O 0.6933 0.1544 0.5378
O 0.3108 0.2478 0.0702
O 0.8025 0.4545 0.7442
O 0.1929 0.7452 0.0585
O 0.6925 0.9565 0.7361
O 0.6972 0.3542 0.3383
O 0.6956 0.5576 0.1416
O 0.8156 0.0538 0.1316
O 0.8030 0.6520 0.5367
O 0.2977 0.6446 0.6553
O 0.3133 0.0432 0.2599
O 0.8008 0.2545 0.9463
O 0.1874 0.9495 0.8655
O 0.8178 0.8548 0.3318
O 0.3080 0.8457 0.4597
O 0.3024 0.4424 0.8631
F 0.2023 0.5394 0.2617
F 0.1943 0.1449 0.6603
F 0.1949 0.3406 0.4596
F 0.6950 0.7577 0.9394

***

4.
! Fe2OF3 | the Materials Project database | GGA+U | relaxed; values from VASP
! Relative energy among the computed polymorphs: 37 meV per atom
! Formation enthalpy at 0 K: -2.284 eV per atom
! Total DFT energy (no corrections): -5.792 eV/atom
! Size of the total moment: 9.00 μB/f.u.
! Theoretical density: 4.180 g/cm3
&SYSTEM
  ibrav = 0, nat = 30, ntyp = 3
/
ATOMIC_SPECIES
F 19.00 F.upf
O 16.00 O.upf
Fe 55.84 Fe.upf
CELL_PARAMETERS angstrom
-3.8013 2.1808 -2.0604
-2.5548 -4.0371 0.7914
-4.4011 5.5229 13.9655
ATOMIC_POSITIONS crystal
F 0.7897 0.2093 0.5000
F 0.7045 0.7045 0.7985
F 0.6971 0.6971 0.6001
F 0.2059 0.7902 0.9002
F 0.7926 0.2122 0.7006
F 0.7045 0.7045 0.2015
F 0.7926 0.2122 0.2994
F 0.6971 0.6971 0.3999
F 0.2899 0.2899 0.0000
F 0.7902 0.2059 0.0998
F 0.2122 0.7926 0.2994
F 0.2122 0.7926 0.7006
F 0.7902 0.2059 0.9002
F 0.2093 0.7897 0.5000
F 0.2059 0.7902 0.0998
O 0.3211 0.3211 0.8032
O 0.3211 0.3211 0.1968
O 0.6716 0.6716 0.0000
O 0.3117 0.3117 0.6005
O 0.3117 0.3117 0.3995
Fe 0.4755 0.4755 0.7007
Fe 0.0235 0.0235 0.1997
Fe 0.4755 0.4755 0.2993
Fe 0.0235 0.0235 0.8003
Fe 0.0123 0.0123 0.3998
Fe 0.9691 0.9691 0.0000
Fe 0.5009 0.5009 0.0997
Fe 0.5009 0.5009 0.9003
Fe 0.4751 0.4751 0.5000
Fe 0.0123 0.0123 0.6002

***

5.
! Fe5O8F2 | the Materials Project database | GGA+U | relaxed; values from VASP
! Relative energy among the computed polymorphs: 28 meV per atom
! Formation enthalpy at 0 K: -1.555 eV per atom
! Total DFT energy (no corrections): -6.093 eV/atom
! Size of the total moment: 22.13 μB/f.u.
! Theoretical density: 4.574 g/cm3
&SYSTEM
  ibrav = 0, nat = 30, ntyp = 3
/
ATOMIC_SPECIES
F 19.00 F.upf
O 16.00 O.upf
Fe 55.84 Fe.upf
CELL_PARAMETERS angstrom
-4.5976 0.0000 0.0000
0.0000 4.5968 -6.1146
0.0000 -9.1984 -3.0588
ATOMIC_POSITIONS crystal
F 0.8081 0.7589 0.9751
F 0.3081 0.1411 0.7249
F 0.1919 0.6411 0.2249
F 0.6919 0.2589 0.4751
O 0.3077 0.5368 0.9224
O 0.1923 0.0368 0.4224
O 0.6923 0.8632 0.2776
O 0.8077 0.3632 0.7776
O 0.8008 0.1523 0.1751
O 0.1995 0.4349 0.6157
O 0.3008 0.7477 0.5249
O 0.1992 0.2477 0.0249
O 0.6992 0.6523 0.6751
O 0.3005 0.9349 0.1157
O 0.6997 0.0648 0.8784
O 0.6995 0.4651 0.0843
O 0.8003 0.5648 0.3784
O 0.1997 0.8352 0.8216
O 0.3003 0.3352 0.3216
O 0.8005 0.9651 0.5843
Fe 0.9815 0.8107 0.4080
Fe 0.5185 0.3107 0.9080
Fe 0.0198 0.0099 0.9969
Fe 0.4802 0.5099 0.4969
Fe 0.5000 0.7000 0.1000
Fe 0.9802 0.3901 0.2031
Fe 0.5198 0.8901 0.7031
Fe 0.4815 0.0893 0.2920
Fe 0.0185 0.5893 0.7920
Fe 0.0000 0.2000 0.6000

***

6.
! Fe4O7F | the Materials Project database | GGA+U | relaxed; values from VASP
! Relative energy among the computed polymorphs: 10 meV per atom
! Formation enthalpy at 0 K: -1.455 eV per atom
! Total DFT energy (no corrections): -6.133 eV/atom
! Size of the total moment: 17.07 μB/f.u.
! Theoretical density: 4.558 g/cm3
&SYSTEM
  ibrav = 0, nat = 24, ntyp = 3
/
ATOMIC_SPECIES
O 16.00 O.upf
Fe 55.84 Fe.upf
F 19.00 F.upf
CELL_PARAMETERS angstrom
3.0038 -6.6800 0.0000
3.0038 6.6800 0.0000
0.0000 0.0000 6.4338
ATOMIC_POSITIONS crystal
O 0.3426 0.6574 0.0000
O 0.6570 0.3430 0.0000
O 0.4023 0.5977 0.5000
O 0.9967 0.4967 0.6921
O 0.9967 0.4967 0.3079
O 0.5033 0.0033 0.6921
O 0.5927 0.4073 0.5000
O 0.2474 0.2469 0.1937
O 0.7531 0.7526 0.8063
O 0.9066 0.0934 0.5000
O 0.7531 0.7526 0.1937
O 0.2474 0.2469 0.8063
O 0.5033 0.0033 0.3079
O 0.1518 0.8482 0.0000
Fe 0.4996 0.5004 0.0000
Fe 0.0069 0.9931 0.0000
Fe 0.7473 0.2527 0.5000
Fe 0.4902 0.9987 0.0000
Fe 0.7413 0.7491 0.5000
Fe 0.2583 0.7417 0.5000
Fe 0.2509 0.2587 0.5000
Fe 0.0013 0.5098 0.0000
F 0.8491 0.1509 0.0000
F 0.1011 0.8989 0.5000

***

7.
! Fe5O3F7 | the Materials Project database | GGA+U | relaxed; values from VASP
! Relative energy among the computed polymorphs: 6 meV per atom
! Formation enthalpy at 0 K: -2.224 eV per atom
! Total DFT energy (no corrections): -5.825 eV/atom
! Size of the total moment: 23.00 μB/f.u.
! Theoretical density: 4.223 g/cm3
&SYSTEM
  ibrav = 0, nat = 30, ntyp = 3
/
ATOMIC_SPECIES
F 19.00 F.upf
O 16.00 O.upf
Fe 55.84 Fe.upf
CELL_PARAMETERS angstrom
4.7828 0.0000 0.0000
-0.1817 4.7879 0.0000
-0.0489 -0.0544 15.8054
ATOMIC_POSITIONS crystal
F 0.2032 0.8012 0.9049
F 0.2049 0.7975 0.5027
F 0.8007 0.2007 0.5042
F 0.1984 0.8017 0.0950
F 0.2907 0.2905 0.1976
F 0.3053 0.3068 0.8131
F 0.7062 0.7050 0.3990
F 0.8051 0.1983 0.9030
F 0.8023 0.1978 0.0949
F 0.6885 0.6870 0.8108
F 0.2061 0.7929 0.2997
F 0.7916 0.2079 0.6958
F 0.7068 0.7097 0.5872
F 0.7926 0.2067 0.2995
O 0.1877 0.8072 0.6968
O 0.6726 0.6728 0.1988
O 0.2989 0.2988 0.5917
O 0.3042 0.3020 0.0029
O 0.7074 0.7052 0.0006
O 0.3229 0.3212 0.3954
Fe 0.4712 0.5113 0.6944
Fe 0.5156 0.5153 0.0972
Fe 0.4989 0.4996 0.2998
Fe 0.9738 0.9737 0.2015
Fe 0.0332 0.9996 0.6064
Fe 0.0027 0.9922 0.7943
Fe 0.0070 0.0061 0.9996
Fe 0.4789 0.4693 0.4992
Fe 0.5020 0.4991 0.9122
Fe 0.0204 0.0228 0.4019

***

8.
! Fe3O5F | the Materials Project database | GGA+U | relaxed; values from VASP
! Relative energy among the computed polymorphs: 5 meV per atom
! Formation enthalpy at 0 K: -1.526 eV per atom
! Total DFT energy (no corrections): -6.126 eV/atom
! Size of the total moment: 13.06 μB/f.u.
! Theoretical density: 4.530 g/cm3
&SYSTEM
  ibrav = 0, nat = 18, ntyp = 3
/
ATOMIC_SPECIES
Fe 55.84 Fe.upf
O 16.00 O.upf
F 19.00 F.upf
CELL_PARAMETERS angstrom
-1.1561 -2.1626 1.7325
0.7389 -3.1126 -3.3923
12.7873 -3.0470 4.7298
ATOMIC_POSITIONS crystal
Fe 0.5000 0.5000 0.5000
Fe 0.0000 0.9781 0.6593
Fe 0.5000 0.5183 0.8393
Fe 0.0000 0.0000 0.0000
Fe 0.5000 0.4817 0.1607
Fe 0.0000 0.0219 0.3407
O 0.0000 0.6802 0.1016
O 0.0000 0.3011 0.5647
O 0.5000 0.1793 0.0621
O 0.5000 0.8207 0.9379
O 0.0000 0.3198 0.8984
O 0.0000 0.6989 0.4353
O 0.5000 0.7962 0.6032
O 0.0000 0.6967 0.7708
O 0.0000 0.3033 0.2292
O 0.5000 0.2038 0.3968
F 0.5000 0.1914 0.7333
F 0.5000 0.8086 0.2667

***

Question: Which value of relative energy among the computed polymorphs does entry 2 give?
Answer: 10 meV per atom

***

Question: What is the theoretical density in the third record?
Answer: 4.529 g/cm3